A geometry-optimized Ba2SrI6 structure, computed with PBE.

a = 8.643 Å, b = 8.643 Å, c = 7.356 Å
α = 90.00°, β = 90.00°, γ = 120.00°
Atoms (fractional coordinates):
I: 0.000 0.328 0.241
I: 0.672 0.672 0.241
I: 0.672 0.000 0.759
I: 0.328 0.328 0.759
I: 0.328 0.000 0.241
I: 0.000 0.672 0.759
Ba: 0.667 0.333 0.500
Ba: 0.333 0.667 0.500
Sr: 0.000 0.000 0.000

Calculated values
The calculation puts the theoretical density at 3921 kg/m3. The calculation puts the formation energy from the elements at -1.98 eV per atom. The value obtained for the relative energy among the computed polymorphs is 2.42 kJ/mol of atoms. The total energy comes out at -3.359 eV per atom. The value obtained for the total magnetic moment is 0.00 μB per cell.